VASP calculation (PBE-GGA) on Sr2Zn3As2O2 after structural relaxation.

Values from the calculation:
**M_tot**: 0.00 μB per cell
**MP2020-corrected energy**: -39.46 eV for the cell shown
**Calculated volume**: 163.2 Å³ per cell
**ΔE_f**: -13.083 eV per formula unit

Cell lengths 9.9963, 9.9963, 9.9963 Å; angles 156.15, 156.15, 33.99 degrees
Element x y z (fractional)
Sr 0.0850 0.0850 0.0000
Sr 0.9150 0.9150 0.0000
Zn 0.2500 0.7500 0.5000
Zn 0.5000 0.5000 0.0000
Zn 0.7500 0.2500 0.5000
As 0.3317 0.3317 0.0000
As 0.6683 0.6683 0.0000
O 0.0000 0.5000 0.5000
O 0.5000 0.0000 0.5000